--- 1 ---
Here is an optimized crystal structure of Na21ZnS10Cl3O40 from Materials Project. Energies are from PBE-GGA.

a = 16.0716 Å, b = 22.8355 Å, c = 13.8766 Å
α = 90.00°, β = 125.38°, γ = 90.00°
Space group Cc (No. 9)
Unique sites:
Na 0.0000 0.0216 0.0000 [4 per cell]
Na 0.0022 0.4958 0.8047 [4 per cell]
Na 0.0165 0.0130 0.2704 [4 per cell]
Na 0.0429 0.2359 0.3237 [4 per cell]
Na 0.1008 0.1732 0.0461 [4 per cell]
Na 0.1240 0.1120 0.5175 [4 per cell]
Na 0.1331 0.3847 0.5153 [4 per cell]
Na 0.1331 0.3976 0.2577 [4 per cell]
Na 0.1687 0.1478 0.8400 [4 per cell]
Na 0.1753 0.3705 0.0405 [4 per cell]
Na 0.1948 0.3742 0.7984 [4 per cell]
Na 0.2664 0.2680 0.2759 [4 per cell]
Na 0.2740 0.4999 0.1970 [4 per cell]
Na 0.2823 0.0174 0.8137 [4 per cell]
Na 0.2928 0.2307 0.5914 [4 per cell]
Na 0.3539 0.1255 0.2900 [4 per cell]
Na 0.3731 0.2503 0.8957 [4 per cell]
Na 0.4048 0.3636 0.5741 [4 per cell]
Na 0.4144 0.3651 0.0805 [4 per cell]
Na 0.4272 0.1221 0.0523 [4 per cell]
Na 0.4927 0.2475 0.2859 [4 per cell]
Zn 0.3569 0.0831 0.5463 [4 per cell]
S 0.0269 0.4885 0.0602 [4 per cell]
S 0.1056 0.2501 0.6275 [4 per cell]
S 0.1715 0.1255 0.3044 [4 per cell]
S 0.2339 0.0401 0.0465 [4 per cell]
S 0.2640 0.2403 0.0269 [4 per cell]
S 0.2733 0.5000 0.4643 [4 per cell]
S 0.3795 0.3750 0.7959 [4 per cell]
S 0.3923 0.1324 0.7741 [4 per cell]
S 0.4084 0.3845 0.3160 [4 per cell]
S 0.4825 0.2085 0.5466 [4 per cell]
Cl 0.0243 0.3753 0.7969 [4 per cell]
Cl 0.0870 0.0623 0.6717 [4 per cell]
Cl 0.2106 0.3119 0.4201 [4 per cell]
O 0.0386 0.2195 0.6541 [4 per cell]
O 0.0553 0.4492 0.5901 [4 per cell]
O 0.0697 0.3121 0.5904 [4 per cell]
O 0.0783 0.0938 0.2129 [4 per cell]
O 0.0926 0.3060 0.1082 [4 per cell]
O 0.1009 0.2185 0.5294 [4 per cell]
O 0.1184 0.4518 0.1028 [4 per cell]
O 0.1538 0.2233 0.9518 [4 per cell]
O 0.1583 0.0085 0.4832 [4 per cell]
O 0.1608 0.1554 0.3910 [4 per cell]
O 0.1791 0.4693 0.4374 [4 per cell]
O 0.1810 0.0931 0.0471 [4 per cell]
O 0.2022 0.1684 0.2496 [4 per cell]
O 0.2122 0.2502 0.7338 [4 per cell]
O 0.2583 0.0801 0.3704 [4 per cell]
O 0.2722 0.3031 0.0058 [4 per cell]
O 0.2724 0.4998 0.3572 [4 per cell]
O 0.2741 0.4382 0.0010 [4 per cell]
O 0.2781 0.4011 0.7031 [4 per cell]
O 0.2840 0.0537 0.9853 [4 per cell]
O 0.2985 0.3678 0.2448 [4 per cell]
O 0.3091 0.2293 0.1541 [4 per cell]
O 0.3133 0.1198 0.6414 [4 per cell]
O 0.3136 0.0222 0.1722 [4 per cell]
O 0.3186 0.2027 0.9919 [4 per cell]
O 0.3457 0.1156 0.8358 [4 per cell]
O 0.3664 0.4683 0.5623 [4 per cell]
O 0.3715 0.3490 0.8890 [4 per cell]
O 0.4039 0.3289 0.7397 [4 per cell]
O 0.4137 0.1963 0.7860 [4 per cell]
O 0.4199 0.4477 0.2986 [4 per cell]
O 0.4288 0.1550 0.5469 [4 per cell]
O 0.4358 0.2254 0.4214 [4 per cell]
O 0.4499 0.0209 0.4324 [4 per cell]
O 0.4519 0.3756 0.4440 [4 per cell]
O 0.4598 0.4210 0.8510 [4 per cell]
O 0.4651 0.3490 0.2818 [4 per cell]
O 0.4690 0.2562 0.6101 [4 per cell]
O 0.4814 0.0321 0.6266 [4 per cell]
O 0.4862 0.0990 0.8158 [4 per cell]

Computed properties:
Spin magnetization in μB/cell: 0.00

--- 2 ---
Here is an optimized crystal structure of Na21ZnS10Cl3O40 from Materials Project. Energies are from PBE-GGA.

a = 14.2403 Å, b = 14.3425 Å, c = 14.9397 Å
α = 109.42°, β = 109.98°, γ = 106.87°
Space group P1 (No. 1)
Unique sites:
Na 0.0000 0.0000 0.0000 [1 per cell]
Na 0.0005 0.6313 0.1368 [1 per cell]
Na 0.0102 0.1790 0.1922 [1 per cell]
Na 0.0181 0.7281 0.4407 [1 per cell]
Na 0.0222 0.9083 0.2078 [1 per cell]
Na 0.0407 0.9688 0.4731 [1 per cell]
Na 0.0558 0.5156 0.9322 [1 per cell]
Na 0.0916 0.2472 0.6469 [1 per cell]
Na 0.0933 0.4396 0.4572 [1 per cell]
Na 0.1601 0.0927 0.8192 [1 per cell]
Na 0.2013 0.3670 0.1414 [1 per cell]
Na 0.2186 0.8727 0.9347 [1 per cell]
Na 0.2436 0.1776 0.5032 [1 per cell]
Na 0.2502 0.7078 0.3923 [1 per cell]
Na 0.2553 0.8285 0.1734 [1 per cell]
Na 0.2681 0.9319 0.6850 [1 per cell]
Na 0.2813 0.4650 0.6690 [1 per cell]
Na 0.2925 0.6655 0.9416 [1 per cell]
Na 0.2954 0.2415 0.3518 [1 per cell]
Na 0.3305 0.1944 0.0659 [1 per cell]
Na 0.3350 0.6729 0.5997 [1 per cell]
Na 0.4169 0.0804 0.6078 [1 per cell]
Na 0.4511 0.5997 0.3749 [1 per cell]
Na 0.4702 0.8905 0.9131 [1 per cell]
Na 0.4749 0.9159 0.3972 [1 per cell]
Na 0.5236 0.4115 0.3927 [1 per cell]
Na 0.5277 0.4901 0.9631 [1 per cell]
Na 0.5289 0.6992 0.1584 [1 per cell]
Na 0.5509 0.1775 0.1456 [1 per cell]
Na 0.5988 0.7688 0.7860 [1 per cell]
Na 0.6315 0.2723 0.6725 [1 per cell]
Na 0.6907 0.4299 0.1377 [1 per cell]
Na 0.7057 0.6130 0.3532 [1 per cell]
Na 0.7179 0.9082 0.1297 [1 per cell]
Na 0.7296 0.0027 0.6584 [1 per cell]
Na 0.7574 0.8070 0.5483 [1 per cell]
Na 0.7799 0.6518 0.9557 [1 per cell]
Na 0.7943 0.4748 0.6841 [1 per cell]
Na 0.8639 0.3675 0.2728 [1 per cell]
Na 0.8925 0.6134 0.5801 [1 per cell]
Na 0.8983 0.8152 0.7869 [1 per cell]
Na 0.9734 0.2627 0.7799 [1 per cell]
Zn 0.7397 0.1478 0.3480 [1 per cell]
Zn 0.7998 0.2422 0.9281 [1 per cell]
S 0.0252 0.6983 0.9280 [1 per cell]
S 0.1770 0.6750 0.6839 [1 per cell]
S 0.2036 0.9033 0.3840 [1 per cell]
S 0.2242 0.0629 0.1482 [1 per cell]
S 0.2612 0.4357 0.3856 [1 per cell]
S 0.2684 0.6248 0.1733 [1 per cell]
S 0.3077 0.2454 0.7293 [1 per cell]
S 0.4714 0.4277 0.1545 [1 per cell]
S 0.4855 0.9012 0.6758 [1 per cell]
S 0.5090 0.9409 0.1778 [1 per cell]
S 0.5152 0.6657 0.9008 [1 per cell]
S 0.6671 0.6532 0.6223 [1 per cell]
S 0.7345 0.1587 0.0734 [1 per cell]
S 0.7354 0.3942 0.9132 [1 per cell]
S 0.7372 0.3796 0.3970 [1 per cell]
S 0.7487 0.1692 0.5826 [1 per cell]
S 0.8225 0.7167 0.2194 [1 per cell]
S 0.9751 0.1541 0.3968 [1 per cell]
S 0.9770 0.1512 0.9146 [1 per cell]
S 0.9879 0.8795 0.6265 [1 per cell]
Cl 0.0327 0.5483 0.3301 [1 per cell]
Cl 0.1240 0.4325 0.7960 [1 per cell]
Cl 0.3461 0.0481 0.9143 [1 per cell]
Cl 0.4555 0.2618 0.5259 [1 per cell]
Cl 0.5955 0.7925 0.3967 [1 per cell]
Cl 0.8440 0.8793 0.0196 [1 per cell]
O 0.0018 0.1106 0.4748 [1 per cell]
O 0.0169 0.2757 0.4584 [1 per cell]
O 0.0196 0.7795 0.8878 [1 per cell]
O 0.0255 0.1254 0.3260 [1 per cell]
O 0.0267 0.1864 0.0326 [1 per cell]
O 0.0291 0.8967 0.7394 [1 per cell]
O 0.0603 0.6327 0.6629 [1 per cell]
O 0.0661 0.1863 0.8859 [1 per cell]
O 0.0834 0.9075 0.6034 [1 per cell]
O 0.1404 0.0818 0.1841 [1 per cell]
O 0.1405 0.8193 0.2666 [1 per cell]
O 0.1422 0.5728 0.1100 [1 per cell]
O 0.1453 0.7177 0.9780 [1 per cell]
O 0.1492 0.3642 0.2851 [1 per cell]
O 0.1659 0.9923 0.3969 [1 per cell]
O 0.1776 0.0330 0.0301 [1 per cell]
O 0.1788 0.8501 0.4494 [1 per cell]
O 0.1976 0.7449 0.6306 [1 per cell]
O 0.1987 0.5782 0.6336 [1 per cell]
O 0.2220 0.2117 0.7636 [1 per cell]
O 0.2432 0.9741 0.1649 [1 per cell]
O 0.2572 0.4047 0.4709 [1 per cell]
O 0.2571 0.7406 0.8036 [1 per cell]
O 0.2701 0.3014 0.6635 [1 per cell]
O 0.2905 0.5554 0.4250 [1 per cell]
O 0.3005 0.5515 0.2142 [1 per cell]
O 0.3026 0.1422 0.6526 [1 per cell]
O 0.3090 0.7339 0.2690 [1 per cell]
O 0.3171 0.6426 0.1033 [1 per cell]
O 0.3267 0.9532 0.4234 [1 per cell]
O 0.3298 0.1703 0.2115 [1 per cell]
O 0.3471 0.3659 0.1003 [1 per cell]
O 0.3471 0.4139 0.3573 [1 per cell]
O 0.4158 0.8134 0.5589 [1 per cell]
O 0.4208 0.3193 0.8209 [1 per cell]
O 0.4251 0.8993 0.0631 [1 per cell]
O 0.4377 0.6215 0.7837 [1 per cell]
O 0.4409 0.9835 0.6969 [1 per cell]
O 0.4520 0.6323 0.9562 [1 per cell]
O 0.4532 0.9302 0.2431 [1 per cell]
O 0.4758 0.8446 0.7437 [1 per cell]
O 0.5109 0.5093 0.1186 [1 per cell]
O 0.5160 0.3448 0.1290 [1 per cell]
O 0.5185 0.4897 0.2754 [1 per cell]
O 0.5589 0.6119 0.6204 [1 per cell]
O 0.5735 0.7896 0.9498 [1 per cell]
O 0.5812 0.8844 0.1842 [1 per cell]
O 0.5859 0.0651 0.2239 [1 per cell]
O 0.5986 0.6212 0.9122 [1 per cell]
O 0.6040 0.9566 0.7046 [1 per cell]
O 0.6144 0.3139 0.3326 [1 per cell]
O 0.6417 0.1003 0.5752 [1 per cell]
O 0.6511 0.6109 0.5083 [1 per cell]
O 0.6593 0.0526 0.0570 [1 per cell]
O 0.6779 0.2690 0.8345 [1 per cell]
O 0.6813 0.4208 0.9787 [1 per cell]
O 0.6974 0.2463 0.1088 [1 per cell]
O 0.7203 0.7316 0.1794 [1 per cell]
O 0.7218 0.7790 0.6769 [1 per cell]
O 0.7237 0.1636 0.4757 [1 per cell]
O 0.7303 0.1389 0.9657 [1 per cell]
O 0.7366 0.4539 0.8498 [1 per cell]
O 0.7481 0.6218 0.6847 [1 per cell]
O 0.7748 0.4321 0.5146 [1 per cell]
O 0.7801 0.4680 0.3679 [1 per cell]
O 0.7911 0.3040 0.3693 [1 per cell]
O 0.7960 0.2870 0.6675 [1 per cell]
O 0.8066 0.6367 0.2649 [1 per cell]
O 0.8309 0.1258 0.6152 [1 per cell]
O 0.8480 0.0977 0.3239 [1 per cell]
O 0.8478 0.6709 0.1296 [1 per cell]
O 0.8527 0.2026 0.1571 [1 per cell]
O 0.8543 0.4148 0.9854 [1 per cell]
O 0.9013 0.0308 0.8494 [1 per cell]
O 0.9035 0.7586 0.5466 [1 per cell]
O 0.9098 0.2149 0.8882 [1 per cell]
O 0.9220 0.8246 0.3068 [1 per cell]
O 0.9317 0.9495 0.6105 [1 per cell]
O 0.9552 0.5822 0.8370 [1 per cell]
O 0.9867 0.7116 0.0105 [1 per cell]

Computed properties:
Spin magnetization in μB/cell: 0.00

It turns out 1 is the most stable, with the second structure 6.6 kJ/mol of atoms higher.

--- 1 ---
Here is an optimized crystal structure of NaU2Cl6 from Materials Project. Energies are from PBE-GGA.

a = 4.1095 Å, b = 7.7304 Å, c = 13.5029 Å
α = 89.48°, β = 89.79°, γ = 89.75°
Space group P1 (No. 1)
Unique sites:
Na 0.0000 0.0000 0.0000 [1 per cell]
Na 0.4983 0.5006 0.5010 [1 per cell]
U 0.2506 0.0030 0.6679 [1 per cell]
U 0.2523 0.4991 0.1674 [1 per cell]
U 0.7515 0.0015 0.3329 [1 per cell]
U 0.7552 0.5016 0.8345 [1 per cell]
Cl 0.2487 0.1107 0.1917 [1 per cell]
Cl 0.2499 0.1560 0.4628 [1 per cell]
Cl 0.2504 0.7334 0.3512 [1 per cell]
Cl 0.2521 0.2293 0.8512 [1 per cell]
Cl 0.2521 0.6055 0.6928 [1 per cell]
Cl 0.2516 0.6555 0.9633 [1 per cell]
Cl 0.7484 0.3388 0.0443 [1 per cell]
Cl 0.7477 0.3897 0.3113 [1 per cell]
Cl 0.7500 0.2664 0.6520 [1 per cell]
Cl 0.7497 0.7685 0.1543 [1 per cell]
Cl 0.7514 0.8848 0.8105 [1 per cell]
Cl 0.7523 0.8396 0.5424 [1 per cell]

Computed properties:
Spin magnetization in μB/cell: 14.00

--- 2 ---
Here is an optimized crystal structure of NaU2Cl6 from Materials Project. Energies are from PBE-GGA.

a = 7.7288 Å, b = 7.7288 Å, c = 4.1233 Å
α = 90.00°, β = 90.00°, γ = 120.00°
Space group P-3 (No. 147)
Unique sites:
Na 0.0000 0.0000 0.0000 [1 per cell]
U 0.3333 0.6667 0.7447 [2 per cell]
Cl 0.0804 0.6980 0.2473 [6 per cell]

Computed properties:
Spin magnetization in μB/cell: 7.00

It turns out 2 is the most stable, with the second structure 1.5 kJ/mol of atoms higher.